Crystalline Pr4Ru at its relaxed geometry. Source: the Materials Project database, functional PBE.

abc: 7.9153 7.9153 7.9153
angles: 60.00 60.00 60.00
Positions (direct):
Pr  0.2147  0.7618  0.7618
Pr  0.2382  0.2382  0.2382
Pr  0.2382  0.2382  0.7853
Pr  0.2382  0.7853  0.2382
Pr  0.7618  0.2147  0.7618
Pr  0.7618  0.7618  0.2147
Pr  0.7618  0.7618  0.7618
Pr  0.7853  0.2382  0.2382
Ru  0.3750  0.3750  0.3750
Ru  0.6250  0.6250  0.6250

formation enthalpy at 0 K = 0.2791 eV/atom
crystal system = cubic